Entry 1:
Compound: LiVRh2
Source: Materials Project
Functional: GGA-PBE
Structure: relaxed

```
data_LiVRh2
_chemical_formula_sum 'Li4 V4 Rh8'
_space_group_name_H-M_alt 'F m -3 m'
_space_group_IT_number 225
_space_group_name_Hall '-F 4 2 3'
_cell_length_a 5.928
_cell_length_b 5.928
_cell_length_c 5.928
_cell_angle_alpha 90.00
_cell_angle_beta 90.00
_cell_angle_gamma 90.00
loop_
_atom_site_label
_atom_site_type_symbol
_atom_site_fract_x
_atom_site_fract_y
_atom_site_fract_z
Li1 Li 0.000 0.000 0.000
V1 V 0.000 0.000 0.500
Rh1 Rh 0.250 0.250 0.250
```

Calculated values
E: -109.5 eV per cell

Entry 2:
Compound: LiZn2Rh
Source: Materials Project
Functional: GGA-PBE
Structure: relaxed

```
data_LiZn2Rh
_chemical_formula_sum 'Li4 Zn8 Rh4'
_space_group_name_H-M_alt 'F m -3 m'
_space_group_IT_number 225
_space_group_name_Hall '-F 4 2 3'
_cell_length_a 6.057
_cell_length_b 6.057
_cell_length_c 6.057
_cell_angle_alpha 90.00
_cell_angle_beta 90.00
_cell_angle_gamma 90.00
loop_
_atom_site_label
_atom_site_type_symbol
_atom_site_fract_x
_atom_site_fract_y
_atom_site_fract_z
Li1 Li 0.000 0.000 0.000
Zn1 Zn 0.250 0.250 0.250
Rh1 Rh 0.000 0.000 0.500
```

Calculated values
E: -53.8 eV per cell

Entry 3:
Compound: LiSm2Ru
Source: Materials Project
Functional: GGA-PBE
Structure: relaxed

```
data_LiSm2Ru
_chemical_formula_sum 'Li4 Sm8 Ru4'
_space_group_name_H-M_alt 'F m -3 m'
_space_group_IT_number 225
_space_group_name_Hall '-F 4 2 3'
_cell_length_a 7.087
_cell_length_b 7.087
_cell_length_c 7.087
_cell_angle_alpha 90.00
_cell_angle_beta 90.00
_cell_angle_gamma 90.00
loop_
_atom_site_label
_atom_site_type_symbol
_atom_site_fract_x
_atom_site_fract_y
_atom_site_fract_z
Li1 Li 0.000 0.000 0.000
Sm1 Sm 0.250 0.250 0.250
Ru1 Ru 0.000 0.000 0.500
```

Calculated values
E: -85.6 eV per cell

Entry 4:
Compound: LiTaRu2
Source: Materials Project
Functional: GGA-PBE
Structure: relaxed

```
data_LiTaRu2
_chemical_formula_sum 'Li4 Ta4 Ru8'
_space_group_name_H-M_alt 'F m -3 m'
_space_group_IT_number 225
_space_group_name_Hall '-F 4 2 3'
_cell_length_a 6.120
_cell_length_b 6.120
_cell_length_c 6.120
_cell_angle_alpha 90.00
_cell_angle_beta 90.00
_cell_angle_gamma 90.00
loop_
_atom_site_label
_atom_site_type_symbol
_atom_site_fract_x
_atom_site_fract_y
_atom_site_fract_z
Li1 Li 0.000 0.000 0.000
Ta1 Ta 0.000 0.000 0.500
Ru1 Ru 0.250 0.250 0.250
```

Calculated values
E: -132.5 eV per cell

Entry 5:
Compound: LiRu2W
Source: Materials Project
Functional: GGA-PBE
Structure: relaxed

```
data_LiRu2W
_chemical_formula_sum 'Li4 Ru8 W4'
_space_group_name_H-M_alt 'F m -3 m'
_space_group_IT_number 225
_space_group_name_Hall '-F 4 2 3'
_cell_length_a 6.055
_cell_length_b 6.055
_cell_length_c 6.055
_cell_angle_alpha 90.00
_cell_angle_beta 90.00
_cell_angle_gamma 90.00
loop_
_atom_site_label
_atom_site_type_symbol
_atom_site_fract_x
_atom_site_fract_y
_atom_site_fract_z
Li1 Li 0.000 0.000 0.000
Ru1 Ru 0.250 0.250 0.250
W1 W 0.000 0.000 0.500
```

Calculated values
E: -134.6 eV per cell

Entry 6:
Compound: LiY2Ru
Source: Materials Project
Functional: GGA-PBE
Structure: relaxed

```
data_LiY2Ru
_chemical_formula_sum 'Li4 Y8 Ru4'
_space_group_name_H-M_alt 'F m -3 m'
_space_group_IT_number 225
_space_group_name_Hall '-F 4 2 3'
_cell_length_a 6.951
_cell_length_b 6.951
_cell_length_c 6.951
_cell_angle_alpha 90.00
_cell_angle_beta 90.00
_cell_angle_gamma 90.00
loop_
_atom_site_label
_atom_site_type_symbol
_atom_site_fract_x
_atom_site_fract_y
_atom_site_fract_z
Li1 Li 0.000 0.000 0.000
Y1 Y 0.250 0.250 0.250
Ru1 Ru 0.000 0.000 0.500
```

Calculated values
E: -100.7 eV per cell

Entry 7:
Compound: Li2S
Source: Materials Project
Functional: GGA-PBE
Structure: relaxed

```
data_Li2S
_chemical_formula_sum 'Li66 S33'
_space_group_name_H-M_alt 'R 3 m'
_space_group_IT_number 160
_space_group_name_Hall 'R 3 -2"'
_cell_length_a 3.9962
_cell_length_b 3.9962
_cell_length_c 110.2533
_cell_angle_alpha 90.00
_cell_angle_beta 90.00
_cell_angle_gamma 120.00
loop_
_atom_site_label
_atom_site_type_symbol
_atom_site_fract_x
_atom_site_fract_y
_atom_site_fract_z
Li1 Li 0.0000 0.0000 0.0000
Li2 Li 0.0000 0.0000 0.0202
Li3 Li 0.0000 0.0000 0.1104
Li4 Li 0.0000 0.0000 0.1559
Li5 Li 0.0000 0.0000 0.2015
Li6 Li 0.0000 0.0000 0.2468
Li7 Li 0.0000 0.0000 0.2921
Li8 Li 0.0000 0.0000 0.3626
Li9 Li 0.0000 0.0000 0.3835
Li10 Li 0.0000 0.0000 0.4278
Li11 Li 0.0000 0.0000 0.4742
Li12 Li 0.0000 0.0000 0.5196
Li13 Li 0.0000 0.0000 0.5651
Li14 Li 0.0000 0.0000 0.6103
Li15 Li 0.0000 0.0000 0.6554
Li16 Li 0.0000 0.0000 0.7266
Li17 Li 0.0000 0.0000 0.7474
Li18 Li 0.0000 0.0000 0.7922
Li19 Li 0.0000 0.0000 0.8379
Li20 Li 0.0000 0.0000 0.8832
Li21 Li 0.0000 0.0000 0.9286
Li22 Li 0.0000 0.0000 0.9731
S1 S 0.0000 0.0000 0.0412
S2 S 0.0000 0.0000 0.1334
S3 S 0.0000 0.0000 0.2244
S4 S 0.0000 0.0000 0.3148
S5 S 0.0000 0.0000 0.4049
S6 S 0.0000 0.0000 0.4971
S7 S 0.0000 0.0000 0.5879
S8 S 0.0000 0.0000 0.6775
S9 S 0.0000 0.0000 0.7697
S10 S 0.0000 0.0000 0.8608
S11 S 0.0000 0.0000 0.9513
```

Calculated values
largest piezoelectric modulus: 0.41 C/m2
E: -387.3 eV per cell
offset from the most stable computed form: 75 meV/atom

Entry 8:
Compound: Li2S
Source: Materials Project
Functional: GGA-PBE
Structure: relaxed

```
data_Li2S
_chemical_formula_sum 'Li22 S11'
_space_group_name_H-M_alt 'P 1'
_space_group_IT_number 1
_cell_length_a 3.996
_cell_length_b 3.996
_cell_length_c 36.823
_cell_angle_alpha 86.89
_cell_angle_beta 86.89
_cell_angle_gamma 60.00
loop_
_space_group_symop_operation_xyz
'x,y,z'
loop_
_atom_site_label
_atom_site_type_symbol
_atom_site_fract_x
_atom_site_fract_y
_atom_site_fract_z
Li1 Li 0.000 0.000 0.000
Li2 Li 0.016 0.013 0.939
Li3 Li 0.064 0.038 0.859
Li4 Li 0.112 0.068 0.725
Li5 Li 0.133 0.134 0.589
Li6 Li 0.195 0.172 0.454
Li7 Li 0.240 0.204 0.315
Li8 Li 0.273 0.258 0.181
Li9 Li 0.308 0.276 0.121
Li10 Li 0.382 0.341 0.905
Li11 Li 0.428 0.397 0.770
Li12 Li 0.451 0.443 0.635
Li13 Li 0.513 0.473 0.498
Li14 Li 0.567 0.530 0.363
Li15 Li 0.586 0.589 0.223
Li16 Li 0.641 0.636 0.090
Li17 Li 0.678 0.641 0.027
Li18 Li 0.722 0.724 0.816
Li19 Li 0.783 0.747 0.681
Li20 Li 0.837 0.807 0.544
Li21 Li 0.866 0.862 0.407
Li22 Li 0.925 0.902 0.271
S1 S 0.064 0.057 0.793
S2 S 0.164 0.159 0.522
S3 S 0.262 0.247 0.249
S4 S 0.344 0.333 0.974
S5 S 0.450 0.419 0.703
S6 S 0.516 0.516 0.431
S7 S 0.620 0.592 0.154
S8 S 0.702 0.689 0.885
S9 S 0.810 0.789 0.613
S10 S 0.892 0.868 0.341
S11 S 0.982 0.962 0.062
```

Calculated values
E: -128.9 eV per cell
offset from the most stable computed form: 82 meV/atom

Entry 9:
Compound: Li2S
Source: Materials Project
Functional: GGA-PBE
Structure: relaxed

```
data_Li2S
_chemical_formula_sum 'Li4 S2'
_space_group_name_H-M_alt 'P 63/m m c'
_space_group_IT_number 194
_space_group_name_Hall '-P 6c 2c'
_cell_length_a 3.9293
_cell_length_b 3.9293
_cell_length_c 7.1071
_cell_angle_alpha 90.00
_cell_angle_beta 90.00
_cell_angle_gamma 120.00
loop_
_atom_site_label
_atom_site_type_symbol
_atom_site_fract_x
_atom_site_fract_y
_atom_site_fract_z
Li1 Li 0.3333 0.6667 0.0921
S1 S 0.3333 0.6667 0.7500
```

Calculated values
E: -22.9 eV per cell
offset from the most stable computed form: 175 meV/atom

Entry 10:
Compound: Li2S
Source: Materials Project
Functional: GGA-PBE
Structure: relaxed

```
data_Li2S
_chemical_formula_sum 'Li8 S4'
_space_group_name_H-M_alt 'F m -3 m'
_space_group_IT_number 225
_space_group_name_Hall '-F 4 2 3'
_cell_length_a 5.721
_cell_length_b 5.721
_cell_length_c 5.721
_cell_angle_alpha 90.00
_cell_angle_beta 90.00
_cell_angle_gamma 90.00
loop_
_atom_site_label
_atom_site_type_symbol
_atom_site_fract_x
_atom_site_fract_y
_atom_site_fract_z
Li1 Li 0.250 0.250 0.250
S1 S 0.000 0.000 0.000
```

Calculated values
E: -47.9 eV per cell
offset from the most stable computed form: 0 meV/atom

Entry 11:
Compound: Li2S
Source: Materials Project
Functional: GGA-PBE
Structure: relaxed

```
data_Li2S
_chemical_formula_sum 'Li8 S4'
_space_group_name_H-M_alt 'P n m a'
_space_group_IT_number 62
_cell_length_a 6.311
_cell_length_b 3.808
_cell_length_c 7.262
_cell_angle_alpha 90.00
_cell_angle_beta 90.00
_cell_angle_gamma 90.00
loop_
_space_group_symop_operation_xyz
'x,y,z'
'-x,-y,-z'
'-x+1/2,-y,z+1/2'
'x+1/2,y,-z+1/2'
'x+1/2,-y+1/2,-z+1/2'
'-x+1/2,y+1/2,z+1/2'
'-x,y+1/2,-z'
'x,-y+1/2,z'
loop_
_atom_site_label
_atom_site_type_symbol
_atom_site_fract_x
_atom_site_fract_y
_atom_site_fract_z
Li1 Li 0.022 0.250 0.166
Li2 Li 0.141 0.250 0.571
S1 S 0.245 0.750 0.389
```

Calculated values
E: -47.2 eV per cell
offset from the most stable computed form: 56 meV/atom

Entry 12:
Compound: Li3SbS3
Source: Materials Project
Functional: GGA-PBE
Structure: relaxed

```
data_Li3SbS3
_chemical_formula_sum 'Li12 Sb4 S12'
_space_group_name_H-M_alt 'P 1 21/c 1'
_space_group_IT_number 14
_cell_length_a 4.154
_cell_length_b 11.925
_cell_length_c 12.730
_cell_angle_alpha 90.00
_cell_angle_beta 106.91
_cell_angle_gamma 90.00
loop_
_space_group_symop_operation_xyz
'x,y,z'
'-x,-y,-z'
'-x,y+1/2,-z+1/2'
'x,-y+1/2,z+1/2'
loop_
_atom_site_label
_atom_site_type_symbol
_atom_site_fract_x
_atom_site_fract_y
_atom_site_fract_z
Li1 Li 0.074 0.223 0.017
Li2 Li 0.314 0.027 0.375
Li3 Li 0.390 0.549 0.387
Sb1 Sb 0.022 0.193 0.751
S1 S 0.162 0.087 0.602
S2 S 0.182 0.118 0.197
S3 S 0.482 0.155 0.924
```

Calculated values
E: -114.1 eV per cell
offset from the most stable computed form: 61 meV/atom